# Nd2MoSe2O10

A relaxed Nd2MoSe2O10 crystal (GGA+U, Materials Project).

formation enthalpy at 0 K	-2.44	eV per atom
size of the total moment	0.004	μB/cell
symmetry	P-1, No. 2
crystal system	triclinic
calculated density	5.150	g/cm³

a = 5.457 Å, b = 6.970 Å, c = 12.764 Å
α = 85.59°, β = 83.70°, γ = 69.94°
Element x y z (fractional)
Nd 0.914 0.113 0.648
Nd 0.832 0.303 0.952
Nd 0.168 0.697 0.048
Nd 0.086 0.887 0.352
Mo 0.636 0.722 0.559
Mo 0.364 0.278 0.441
Se 0.394 0.103 0.131
Se 0.738 0.577 0.223
Se 0.262 0.423 0.777
Se 0.606 0.897 0.869
O 0.819 0.835 0.758
O 0.413 0.718 0.203
O 0.143 0.492 0.905
O 0.853 0.875 0.530
O 0.173 0.526 0.394
O 0.479 0.287 0.566
O 0.645 0.158 0.353
O 0.561 0.667 0.919
O 0.439 0.333 0.081
O 0.183 0.058 0.045
O 0.587 0.282 0.797
O 0.181 0.165 0.242
O 0.119 0.233 0.780
O 0.857 0.508 0.095
O 0.881 0.767 0.220
O 0.817 0.942 0.955
O 0.827 0.474 0.606
O 0.521 0.713 0.434
O 0.147 0.125 0.470
O 0.355 0.842 0.647